[1]
Entry from Materials Project: a relaxed Mg5Cd crystal (PBE-GGA).

Structure (CIF):
```
data_Mg5Cd
_chemical_formula_sum 'Mg5 Cd1'
_cell_length_a 3.149
_cell_length_b 3.149
_cell_length_c 15.913
_cell_angle_alpha 90.00
_cell_angle_beta 90.00
_cell_angle_gamma 120.00
_space_group_name_H-M_alt 'P 1'
_space_group_IT_number 1
loop_
_space_group_symop_operation_xyz
'x,y,z'
loop_
_atom_site_label
_atom_site_type_symbol
_atom_site_fract_x
_atom_site_fract_y
_atom_site_fract_z
Mg1 Mg 0.667 0.333 0.835
Mg2 Mg 0.000 0.000 0.667
Mg3 Mg 0.667 0.333 0.500
Mg4 Mg 0.000 0.000 0.333
Mg5 Mg 0.667 0.333 0.165
Cd1 Cd 0.000 0.000 0.000
```

Summary:
Total DFT energy (no corrections)   -1.48 eV/atom
Size of the total moment   0.0 μB per cell

[2]
Entry from Materials Project: a relaxed UAsSe crystal (PBE-GGA).

Structure (CIF):
```
data_UAsSe
_chemical_formula_sum 'U2 As2 Se2'
_cell_length_a 3.976
_cell_length_b 3.976
_cell_length_c 8.408
_cell_angle_alpha 90.00
_cell_angle_beta 90.00
_cell_angle_gamma 90.00
_space_group_name_H-M_alt 'P 1'
_space_group_IT_number 1
loop_
_space_group_symop_operation_xyz
'x,y,z'
loop_
_atom_site_label
_atom_site_type_symbol
_atom_site_fract_x
_atom_site_fract_y
_atom_site_fract_z
U1 U 0.000 0.500 0.727
U2 U 0.500 0.000 0.273
As1 As 0.000 0.000 0.000
As2 As 0.500 0.500 0.000
Se1 Se 0.500 0.000 0.635
Se2 Se 0.000 0.500 0.365
```

Summary:
Total DFT energy (no corrections)   -7.45 eV/atom
Energy with MP2020 corrections   -7.6076 eV/atom

[3]
Entry from Materials Project: a relaxed ZnIn2GeAs4 crystal (PBE-GGA).

Structure (CIF):
```
data_ZnIn2GeAs4
_chemical_formula_sum 'Zn1 In2 Ge1 As4'
_cell_length_a 6.832
_cell_length_b 6.832
_cell_length_c 6.832
_cell_angle_alpha 131.74
_cell_angle_beta 131.74
_cell_angle_gamma 70.64
_space_group_name_H-M_alt 'P 1'
_space_group_IT_number 1
loop_
_space_group_symop_operation_xyz
'x,y,z'
loop_
_atom_site_label
_atom_site_type_symbol
_atom_site_fract_x
_atom_site_fract_y
_atom_site_fract_z
Zn1 Zn 0.000 0.000 0.000
In1 In 0.250 0.750 0.500
In2 In 0.750 0.250 0.500
Ge1 Ge 0.500 0.500 0.000
As1 As 0.500 0.000 0.500
As2 As 0.749 0.749 0.000
As3 As 0.000 0.500 0.500
As4 As 0.251 0.251 0.000
```

Summary:
Total DFT energy (no corrections)   -3.68 eV/atom
Size of the total moment   0.0 μB per cell

[4]
Entry from Materials Project: a relaxed DyMg2Cu9 crystal (PBE-GGA).

Structure (CIF):
```
data_DyMg2Cu9
_chemical_formula_sum 'Dy2 Mg4 Cu18'
_cell_length_a 5.042
_cell_length_b 5.042
_cell_length_c 15.873
_cell_angle_alpha 90.00
_cell_angle_beta 90.00
_cell_angle_gamma 120.00
_space_group_name_H-M_alt 'P 1'
_space_group_IT_number 1
loop_
_space_group_symop_operation_xyz
'x,y,z'
loop_
_atom_site_label
_atom_site_type_symbol
_atom_site_fract_x
_atom_site_fract_y
_atom_site_fract_z
Dy1 Dy 0.667 0.333 0.250
Dy2 Dy 0.333 0.667 0.750
Mg1 Mg 0.333 0.667 0.531
Mg2 Mg 0.667 0.333 0.469
Mg3 Mg 0.667 0.333 0.031
Mg4 Mg 0.333 0.667 0.969
Cu1 Cu 0.337 0.168 0.623
Cu2 Cu 0.168 0.337 0.123
Cu3 Cu 0.832 0.663 0.877
Cu4 Cu 0.000 0.000 0.250
Cu5 Cu 0.168 0.337 0.377
Cu6 Cu 0.663 0.832 0.377
Cu7 Cu 0.832 0.168 0.877
Cu8 Cu 0.832 0.168 0.623
Cu9 Cu 0.000 0.000 0.500
Cu10 Cu 0.168 0.832 0.123
Cu11 Cu 0.333 0.667 0.250
Cu12 Cu 0.832 0.663 0.623
Cu13 Cu 0.000 0.000 0.000
Cu14 Cu 0.168 0.832 0.377
Cu15 Cu 0.667 0.333 0.750
Cu16 Cu 0.663 0.832 0.123
Cu17 Cu 0.337 0.168 0.877
Cu18 Cu 0.000 0.000 0.750
```

Summary:
Total DFT energy (no corrections)   -3.90 eV/atom

[5]
Entry from Materials Project: a relaxed FeAgTe2 crystal (PBE-GGA).

Structure (CIF):
```
data_FeAgTe2
_chemical_formula_sum 'Fe4 Ag4 Te8'
_cell_length_a 3.985
_cell_length_b 8.218
_cell_length_c 11.210
_cell_angle_alpha 90.00
_cell_angle_beta 90.00
_cell_angle_gamma 90.00
_space_group_name_H-M_alt 'P 1'
_space_group_IT_number 1
loop_
_space_group_symop_operation_xyz
'x,y,z'
loop_
_atom_site_label
_atom_site_type_symbol
_atom_site_fract_x
_atom_site_fract_y
_atom_site_fract_z
Fe1 Fe 0.500 0.537 0.159
Fe2 Fe 0.000 0.012 0.312
Fe3 Fe 0.000 0.037 0.841
Fe4 Fe 0.500 0.512 0.688
Ag1 Ag 0.000 0.986 0.583
Ag2 Ag 0.000 0.673 0.018
Ag3 Ag 0.500 0.486 0.417
Ag4 Ag 0.500 0.173 0.982
Te1 Te 0.500 0.799 0.294
Te2 Te 0.500 0.864 0.773
Te3 Te 0.500 0.488 0.914
Te4 Te 0.000 0.639 0.574
Te5 Te 0.000 0.988 0.086
Te6 Te 0.000 0.299 0.706
Te7 Te 0.000 0.364 0.227
Te8 Te 0.500 0.139 0.426
```

Summary:
Total DFT energy (no corrections)   -4.24 eV/atom
Energy with MP2020 corrections   -4.4509 eV/atom
Size of the total moment   8.9 μB per cell

[6]
Entry from Materials Project: a relaxed PrSn2 crystal (PBE-GGA).

Structure (CIF):
```
data_PrSn2
_chemical_formula_sum 'Pr2 Sn4'
_cell_length_a 8.309
_cell_length_b 8.309
_cell_length_c 4.701
_cell_angle_alpha 90.00
_cell_angle_beta 90.00
_cell_angle_gamma 148.17
_space_group_name_H-M_alt 'P 1'
_space_group_IT_number 1
loop_
_space_group_symop_operation_xyz
'x,y,z'
loop_
_atom_site_label
_atom_site_type_symbol
_atom_site_fract_x
_atom_site_fract_y
_atom_site_fract_z
Pr1 Pr 0.854 0.146 0.500
Pr2 Pr 0.146 0.854 0.500
Sn1 Sn 0.682 0.318 0.000
Sn2 Sn 0.318 0.682 0.000
Sn3 Sn 0.500 0.500 0.500
Sn4 Sn 0.000 0.000 0.000
```

Summary:
Total DFT energy (no corrections)   -4.91 eV/atom

[7]
Entry from Materials Project: a relaxed Eu2Si3Ni crystal (PBE-GGA).

Structure (CIF):
```
data_Eu2Si3Ni
_chemical_formula_sum 'Eu2 Si3 Ni1'
_cell_length_a 4.040
_cell_length_b 4.040
_cell_length_c 8.803
_cell_angle_alpha 90.00
_cell_angle_beta 90.00
_cell_angle_gamma 120.00
_space_group_name_H-M_alt 'P 1'
_space_group_IT_number 1
loop_
_space_group_symop_operation_xyz
'x,y,z'
loop_
_atom_site_label
_atom_site_type_symbol
_atom_site_fract_x
_atom_site_fract_y
_atom_site_fract_z
Eu1 Eu 0.333 0.667 0.242
Eu2 Eu 0.333 0.667 0.758
Si1 Si 0.667 0.333 0.500
Si2 Si 0.000 0.000 0.000
Si3 Si 0.000 0.000 0.500
Ni1 Ni 0.667 0.333 0.000
```

Summary:
Total DFT energy (no corrections)   -7.61 eV/atom
Size of the total moment   13.9 μB per cell